## FeNiP6 (GGA-PBE)

Data for FeNiP6 after structural relaxation.

Calculated values
density: 4.29 g/cm³
symmetry: No. 12
formation energy from the elements: -39.3 kJ/mol of atoms

```
16
Lattice="0.9738 -6.3058 2.0624 2.4797 -3.6365 -5.0588 6.8172 -3.6708 0.0657" Properties=species:S:1:pos:R:3 pbc="T T T"
Fe 1.2399 -1.8182 -2.5294
Fe 0.4869 -3.1529 1.0312
P 5.6197 -8.2599 -1.9077
P 8.3184 -9.1718 -2.9509
P 2.4062 -3.6367 -2.1264
P 4.6219 -5.3449 -4.0165
P 5.6488 -8.2682 1.0857
P 4.6509 -5.3532 -1.0231
P 7.8645 -9.9764 -0.8043
P 6.6613 -6.3822 -0.9836
P 1.9522 -4.4413 0.0201
P 3.5548 -7.2364 1.0296
P 6.7159 -6.3766 -3.9604
P 3.6094 -7.2309 -1.9472
Ni 4.6484 -3.6536 -2.4966
Ni 3.8955 -4.9883 1.0640
```